(1)
A plane-wave DFT calculation with PBE-GGA was carried out for crystalline Pr2Ni2Sn at its relaxed geometry.

Structure (POSCAR):
```
Pr2Ni2Sn
1.0
-2.203 2.878 4.284
2.203 -2.878 4.284
2.203 2.878 -4.284
Pr Ni Sn
2 2 1
direct
0.703 0.203 0.500
0.297 0.797 0.500
0.714 0.500 0.214
0.286 0.500 0.786
0.000 0.000 0.000
```

Output
Calculated volume, Å³/f.u.: 108.6
E_form, meV per atom: -500

***

(2)
A plane-wave DFT calculation with PBE-GGA was carried out for crystalline InCuTe2 at its relaxed geometry.

Structure (POSCAR):
```
InCuTe2
1.0
2.571 3.180 -1.725
-4.227 -0.383 -1.296
-4.006 5.349 3.888
In Cu Te
1 1 2
direct
0.491 0.983 0.526
0.007 0.015 0.978
0.886 0.773 0.341
0.365 0.730 0.905
```

Output
Calculated volume, Å³/f.u.: 124.4
Magnetization, μB per formula unit: 0.00
E_form, meV per atom: -436

***

(3)
A plane-wave DFT calculation with PBE-GGA was carried out for crystalline Ca11AlSb9 at its relaxed geometry.

Structure (POSCAR):
```
Ca11AlSb9
1.0
2.600 -0.213 11.759
-11.310 -3.566 2.110
7.202 -6.245 -7.362
Ca Al Sb
22 2 18
direct
0.499 0.511 0.663
0.849 0.836 0.337
0.349 0.011 0.013
0.999 0.336 0.987
0.291 0.087 0.350
0.737 0.941 0.650
0.237 0.587 0.796
0.791 0.441 0.204
0.361 0.617 0.373
0.244 0.988 0.627
0.744 0.117 0.257
0.861 0.488 0.743
0.998 0.998 0.000
0.498 0.498 0.000
0.098 0.360 0.370
0.990 0.728 0.630
0.490 0.860 0.262
0.598 0.228 0.738
0.606 0.421 0.362
0.059 0.244 0.638
0.559 0.921 0.815
0.106 0.744 0.185
0.278 0.278 0.000
0.778 0.778 0.000
0.725 0.717 0.719
0.998 0.006 0.281
0.498 0.217 0.992
0.225 0.506 0.008
0.566 0.211 0.425
0.786 0.140 0.575
0.286 0.711 0.645
0.066 0.640 0.355
0.286 0.301 0.244
0.057 0.042 0.756
0.557 0.801 0.015
0.786 0.542 0.985
0.668 0.667 0.354
0.313 0.314 0.646
0.813 0.167 0.999
0.168 0.814 0.001
0.921 0.421 0.500
0.421 0.921 0.500
```

Output
Calculated volume, Å³/f.u.: 624.7
E_form, meV per atom: -1061

***

Q: Number 1 is which compound?
A: Pr2Ni2Sn